[1]
The following is a DFT calculation (r2SCAN) of a relaxed Ho4MgRh crystal.

Computed properties:
The spin magnetization comes out at 0.01 μB per formula unit. The electronic total energy is -27.073 eV/atom. The value obtained for the energy of formation is -0.435 eV/atom. As for the space group: F-43m (216).

Cell lengths 9.6235, 9.6235, 9.6235 Å; angles 60.00, 60.00, 60.00 degrees
With the nearest neighbours (Å) after each atom.
Sites, in units of the cell vectors:
Ho 0.8127 0.1873 0.1873  2 Rh 2.80
Ho 0.1873 0.8127 0.8127  2 Rh 2.80
Ho 0.1873 0.8127 0.1873  2 Rh 2.80
Ho 0.8127 0.1873 0.8127  2 Rh 2.80
Ho 0.1873 0.1873 0.8127  2 Rh 2.80
Ho 0.8127 0.8127 0.1873  2 Rh 2.80
Ho 0.9355 0.5645 0.5645  2 Mg 3.29, 2 Rh 3.50, 10 Ho 3.50-3.62
Ho 0.5645 0.9355 0.9355  2 Mg 3.29, 2 Rh 3.50, 10 Ho 3.50-3.62
Ho 0.5645 0.9355 0.5645  2 Mg 3.29, 2 Rh 3.50, 10 Ho 3.50-3.62
Ho 0.9355 0.5645 0.9355  2 Mg 3.29, 2 Rh 3.50, 10 Ho 3.50-3.62
Ho 0.5645 0.5645 0.9355  2 Mg 3.29, 2 Rh 3.50, 10 Ho 3.50-3.62
Ho 0.9355 0.9355 0.5645  2 Mg 3.29, 2 Rh 3.50, 10 Ho 3.50-3.62
Ho 0.3463 0.3463 0.3463  3 Rh 2.79
Ho 0.3463 0.3463 0.9610  3 Rh 2.79
Ho 0.3463 0.9610 0.3463  3 Rh 2.79
Ho 0.9610 0.3463 0.3463  3 Rh 2.79
Mg 0.5792 0.5792 0.5792  3 Mg 3.05, 3 Ho 3.29
Mg 0.5792 0.5792 0.2623  3 Mg 3.05, 3 Ho 3.29
Mg 0.5792 0.2623 0.5792  3 Mg 3.05, 3 Ho 3.29
Mg 0.2623 0.5792 0.5792  3 Mg 3.05, 3 Ho 3.29
Rh 0.1417 0.1417 0.1417  6 Ho 2.79-2.80
Rh 0.1417 0.1417 0.5748  6 Ho 2.79-2.80
Rh 0.1417 0.5748 0.1417  6 Ho 2.79-2.80
Rh 0.5748 0.1417 0.1417  6 Ho 2.79-2.80

[2]
The following is a DFT calculation (r2SCAN) of a relaxed Li2Sn2Au crystal.

Computed properties:
The spin magnetization comes out at 0.00 μB per formula unit. The electronic total energy is -21.457 eV/atom. The value obtained for the energy of formation is -0.487 eV/atom. As for the space group: I4_1/amd (141).

Cell lengths 4.5683, 4.5683, 10.4616 Å; angles 102.61, 102.61, 90.00 degrees
With the nearest neighbours (Å) after each atom.
Sites, in units of the cell vectors:
Li 0.3021 0.5521 0.1042  2 Au 2.71, 3 Sn 2.99-3.03
Li 0.0521 0.8021 0.6042  2 Au 2.71, 3 Sn 2.99-3.03
Li 0.6979 0.4479 0.8958  2 Au 2.71, 3 Sn 2.99-3.03
Li 0.9479 0.1979 0.3958  2 Au 2.71, 3 Sn 2.99-3.03
Sn 0.2023 0.9523 0.9045  2 Au 2.75, 2 Sn 2.97, 3 Li 2.99-3.03
Sn 0.4523 0.7023 0.4045  2 Au 2.75, 2 Sn 2.97, 3 Li 2.99-3.03
Sn 0.7977 0.0477 0.0955  2 Au 2.75, 2 Sn 2.97, 3 Li 2.99-3.03
Sn 0.5477 0.2977 0.5955  2 Au 2.75, 2 Sn 2.97, 3 Li 2.99-3.03
Au 0.8750 0.6250 0.2500  4 Li 2.71, 4 Sn 2.75
Au 0.1250 0.3750 0.7500  4 Li 2.71, 4 Sn 2.75

[3]
The following is a DFT calculation (r2SCAN) of a relaxed Tb3In5S12 crystal.

Computed properties:
The spin magnetization comes out at 0.00 μB per formula unit. The electronic total energy is -16.506 eV/atom. The value obtained for the energy of formation is -1.357 eV/atom. As for the space group: P2_1/m (11).

Cell lengths 3.8922, 10.9586, 21.3217 Å; angles 83.84, 90.00, 90.00 degrees
With the nearest neighbours (Å) after each atom.
Sites, in units of the cell vectors:
Tb 0.2500 0.7148 0.2848  8 S 2.77-3.07
Tb 0.7500 0.2852 0.7152  8 S 2.77-3.07
Tb 0.2500 0.9129 0.7654  8 S 2.83-2.98
Tb 0.7500 0.0871 0.2346  8 S 2.83-2.98
Tb 0.2500 0.0280 0.5880  7 S 2.72-2.84
Tb 0.7500 0.9720 0.4120  7 S 2.72-2.84
In 0.2500 0.8359 0.1134  4 S 2.53-2.60
In 0.7500 0.3493 0.5273  6 S 2.54-2.72
In 0.2500 0.6507 0.4727  6 S 2.54-2.72
In 0.7500 0.4576 0.1737  6 S 2.56-2.74
In 0.2500 0.5424 0.8263  6 S 2.56-2.74
In 0.7500 0.6477 0.6670  6 S 2.54-2.73
In 0.2500 0.3523 0.3330  6 S 2.54-2.73
In 0.7500 0.7586 0.9416  4 S 2.46-2.49
In 0.2500 0.2414 0.0584  4 S 2.46-2.49
In 0.7500 0.1641 0.8866  4 S 2.53-2.60
S 0.2500 0.6093 0.1569  3 In 2.56
S 0.7500 0.8660 0.0374  3 In 2.46-2.53
S 0.2500 0.1340 0.9626  3 In 2.46-2.53
S 0.7500 0.9384 0.8597  2 In 2.49-2.60
S 0.2500 0.0616 0.1403  2 In 2.49-2.60
S 0.7500 0.3809 0.0616  3 In 2.48-2.62
S 0.2500 0.6191 0.9384  3 In 2.48-2.62
S 0.7500 0.7220 0.3874  2 In 2.72, 3 Tb 2.84-2.94
S 0.2500 0.2780 0.6126  2 In 2.72, 3 Tb 2.84-2.94
S 0.7500 0.8370 0.2102  3 Tb 2.77-2.84, 2 In 2.84
S 0.2500 0.9650 0.3155  5 Tb 2.84-2.89
S 0.7500 0.0350 0.6845  5 Tb 2.84-2.89
S 0.2500 0.2938 0.2166  3 In 2.63-2.74
S 0.7500 0.7062 0.7834  3 In 2.63-2.74
S 0.2500 0.4849 0.7103  3 In 2.62-2.73, 2 Tb 2.92
S 0.7500 0.5151 0.2897  3 In 2.62-2.73, 2 Tb 2.92
S 0.2500 0.7969 0.6512  2 In 2.54, 1 Tb 2.74
S 0.7500 0.2031 0.3488  2 In 2.54, 1 Tb 2.74
S 0.2500 0.4217 0.4473  4 In 2.62-2.65
S 0.7500 0.5783 0.5527  4 In 2.62-2.65
S 0.7500 0.1245 0.5087  1 In 2.54, 3 Tb 2.72-2.79
S 0.7500 0.3907 0.8431  3 In 2.56
S 0.2500 0.8755 0.4913  1 In 2.54, 3 Tb 2.72-2.79
S 0.2500 0.1630 0.7898  3 Tb 2.77-2.84, 2 In 2.84

[4]
The following is a DFT calculation (r2SCAN) of a relaxed BeB2H8 crystal.

Computed properties:
The spin magnetization comes out at 0.00 μB per formula unit. The electronic total energy is -4.376 eV/atom. The value obtained for the energy of formation is -0.133 eV/atom. As for the space group: I4_1cd (110).

Cell lengths 10.6594, 10.6594, 10.6597 Å; angles 100.18, 100.18, 130.27 degrees
With the nearest neighbours (Å) after each atom.
Sites, in units of the cell vectors:
Be 0.4120 0.8003 0.2103  6 H 1.55-1.69
Be 0.5900 0.2017 0.7897  6 H 1.55-1.69
Be 0.4516 0.1620 0.1117  6 H 1.55-1.69
Be 0.0503 0.3399 0.8883  6 H 1.55-1.69
Be 0.0899 0.3003 0.3883  6 H 1.55-1.69
Be 0.9517 0.8400 0.2897  6 H 1.55-1.69
Be 0.5503 0.6620 0.7103  6 H 1.55-1.69
Be 0.9120 0.7016 0.6117  6 H 1.55-1.69
B 0.4276 0.9811 0.1654  4 H 1.22
B 0.8157 0.2622 0.8346  4 H 1.22
B 0.5122 0.1776 0.9465  4 H 1.22
B 0.2311 0.5657 0.0535  4 H 1.22
B 0.3157 0.4811 0.5535  4 H 1.22
B 0.0122 0.0657 0.3346  4 H 1.22
B 0.7311 0.6776 0.6654  4 H 1.22
B 0.9276 0.7622 0.4465  4 H 1.22
B 0.5549 0.8441 0.3814  4 H 1.20-1.26
B 0.4627 0.1735 0.6186  4 H 1.20-1.26
B 0.4235 0.3049 0.2108  4 H 1.20-1.26
B 0.0941 0.2127 0.7892  4 H 1.20-1.26
B 0.9627 0.3441 0.2892  4 H 1.20-1.26
B 0.9235 0.7127 0.1186  4 H 1.20-1.26
B 0.5941 0.8049 0.8814  4 H 1.20-1.26
B 0.0549 0.6735 0.7108  4 H 1.20-1.26
H 0.5533 0.1410 0.2319  1 B 1.22
H 0.9091 0.3214 0.7681  1 B 1.22
H 0.5714 0.3033 0.9123  1 B 1.22
H 0.3910 0.6591 0.0877  1 B 1.22
H 0.4091 0.6410 0.5877  1 B 1.22
H 0.0714 0.1591 0.2681  1 B 1.22
H 0.8910 0.8033 0.7319  1 B 1.22
H 0.0533 0.8214 0.4123  1 B 1.22
H 0.3110 0.9395 0.0681  1 B 1.22
H 0.8714 0.2429 0.9319  1 B 1.22
H 0.4929 0.0610 0.8715  1 B 1.22
H 0.1895 0.6214 0.1285  1 B 1.22
H 0.3714 0.4395 0.6285  1 B 1.22
H 0.9929 0.1214 0.4319  1 B 1.22
H 0.6895 0.5610 0.5681  1 B 1.22
H 0.8110 0.7429 0.3715  1 B 1.22
H 0.4875 0.9271 0.1175  1 B 1.22
H 0.8096 0.3700 0.8825  1 B 1.22
H 0.6200 0.2375 0.0604  1 B 1.22
H 0.1771 0.5597 0.9396  1 B 1.22
H 0.3097 0.4271 0.4396  1 B 1.22
H 0.3599 0.9181 0.2452  1 B 1.22
H 0.1200 0.0596 0.3825  1 B 1.22
H 0.9875 0.8700 0.5604  1 B 1.22
H 0.1398 0.6551 0.6660  1 B 1.20
H 0.7238 0.8898 0.9847  1 B 1.20
H 0.9051 0.7391 0.0154  1 B 1.20
H 0.9891 0.4738 0.3340  1 B 1.20
H 0.2238 0.2391 0.8340  1 B 1.20
H 0.4051 0.3898 0.1660  1 B 1.20
H 0.4891 0.1551 0.5154  1 B 1.20
H 0.6398 0.9738 0.4847  1 B 1.20
H 0.0599 0.6754 0.8244  1 B 1.20
H 0.4855 0.8099 0.8844  1 B 1.20
H 0.9254 0.6011 0.1156  1 B 1.20
H 0.8511 0.2355 0.1756  1 B 1.20
H 0.9855 0.1011 0.6756  1 B 1.20
H 0.4254 0.3099 0.3244  1 B 1.20
H 0.3511 0.1754 0.6156  1 B 1.20
H 0.5599 0.7355 0.3844  1 B 1.20
H 0.1069 0.8176 0.7099  1 B 1.25
H 0.6470 0.8569 0.7893  1 B 1.25
H 0.0676 0.8577 0.2107  1 B 1.25
H 0.1077 0.3970 0.2901  1 B 1.25
H 0.1470 0.3577 0.7901  1 B 1.25
H 0.5676 0.3569 0.2099  1 B 1.25
H 0.6077 0.3176 0.7107  1 B 1.25
H 0.6069 0.8970 0.2893  1 B 1.25
H 0.8949 0.5502 0.6277  1 B 1.26
H 0.5171 0.6449 0.8447  1 B 1.26
H 0.8002 0.6724 0.1553  1 B 1.26
H 0.9224 0.2671 0.3722  1 B 1.26
H 0.0171 0.1724 0.8722  1 B 1.26
H 0.3002 0.1449 0.1277  1 B 1.26
H 0.4224 0.0502 0.6553  1 B 1.26
H 0.3949 0.7671 0.3447  1 B 1.26
H 0.8599 0.6147 0.4417  1 B 1.22
H 0.6681 0.6099 0.7452  1 B 1.22
H 0.8647 0.9230 0.2548  1 B 1.22
H 0.1730 0.4181 0.5583  1 B 1.22
H 0.1681 0.4230 0.0583  1 B 1.22
H 0.3647 0.1099 0.9417  1 B 1.22
H 0.6730 0.1147 0.7548  1 B 1.22
H 0.6771 0.7375 0.6175  1 B 1.22

[5]
The following is a DFT calculation (r2SCAN) of a relaxed TbDyAl4 crystal.

Computed properties:
The spin magnetization comes out at 0.00 μB per formula unit. The electronic total energy is -15.611 eV/atom. The value obtained for the energy of formation is -0.589 eV/atom. As for the space group: F-43m (216).

Cell lengths 5.5430, 5.5430, 5.5430 Å; angles 60.00, 60.00, 60.00 degrees
With the nearest neighbours (Å) after each atom.
Sites, in units of the cell vectors:
Tb 0.0000 0.0000 0.0000  12 Al 3.25, 4 Dy 3.39
Dy 0.2500 0.2500 0.2500  12 Al 3.25, 4 Tb 3.39
Al 0.1250 0.6250 0.6250  6 Al 2.77
Al 0.6250 0.1250 0.6250  6 Al 2.77
Al 0.6250 0.6250 0.1251  6 Al 2.77
Al 0.6250 0.6250 0.6250  6 Al 2.77

[6]
The following is a DFT calculation (r2SCAN) of a relaxed CaPS3 crystal.

Computed properties:
The spin magnetization comes out at 0.00 μB per formula unit. The electronic total energy is -9.265 eV/atom. The value obtained for the energy of formation is -1.237 eV/atom. As for the space group: P2_1/c (14).

Cell lengths 6.5800, 7.3252, 9.2130 Å; angles 90.00, 92.04, 90.00 degrees
With the nearest neighbours (Å) after each atom.
Sites, in units of the cell vectors:
Ca 0.0386 0.6188 0.7524  8 S 2.89-3.19
Ca 0.4614 0.1188 0.7476  8 S 2.89-3.19
Ca 0.9614 0.3812 0.2476  8 S 2.89-3.19
Ca 0.5386 0.8812 0.2524  8 S 2.89-3.19
P 0.5686 0.6084 0.9339  3 S 2.01-2.02, 1 P 2.21
P 0.9314 0.1084 0.5661  3 S 2.01-2.02, 1 P 2.21
P 0.4314 0.3916 0.0661  3 S 2.01-2.02, 1 P 2.21
P 0.0686 0.8916 0.4339  3 S 2.01-2.02, 1 P 2.21
S 0.8530 0.6944 0.4332  1 P 2.02
S 0.6470 0.1944 0.0668  1 P 2.02
S 0.1470 0.3056 0.5668  1 P 2.02
S 0.3530 0.8056 0.9332  1 P 2.02
S 0.1221 0.0060 0.2404  1 P 2.01
S 0.3779 0.5060 0.2596  1 P 2.01
S 0.8779 0.9940 0.7596  1 P 2.01
S 0.6221 0.4940 0.7404  1 P 2.01
S 0.3208 0.8078 0.5461  1 P 2.02
S 0.1792 0.3078 0.9539  1 P 2.02
S 0.6792 0.1922 0.4539  1 P 2.02
S 0.8208 0.6922 0.0461  1 P 2.02